Entry one
Here is a relaxed UF5 crystal from the Materials Project database. Energies are from PBE-GGA.

space-group type: No. 87

Cell: 5.368 5.368 5.368 Å, 100.28 100.28 130.02°
Sites, in units of the cell vectors:
U: 0.000 0.000 0.000
F: 0.276 0.104 0.380
F: 0.500 0.500 0.000
F: 0.724 0.896 0.620
F: 0.104 0.724 0.829
F: 0.896 0.276 0.171

Entry two
Here is a relaxed UF5 crystal from the Materials Project database. Energies are from PBE-GGA.

space-group type: No. 122

Cell: 8.792 8.792 8.792 Å, 96.70 96.70 140.06°
Sites, in units of the cell vectors:
U: 0.194 0.375 0.319
U: 0.125 0.806 0.181
U: 0.625 0.944 0.819
U: 0.056 0.875 0.681
F: 0.844 0.231 0.732
F: 0.500 0.112 0.268
F: 0.769 0.500 0.612
F: 0.888 0.156 0.388
F: 0.881 0.875 0.506
F: 0.625 0.119 0.994
F: 0.125 0.631 0.006
F: 0.369 0.375 0.494
F: 0.828 0.883 0.783
F: 0.955 0.172 0.056
F: 0.117 0.900 0.944
F: 0.100 0.045 0.217
F: 0.422 0.705 0.556
F: 0.150 0.867 0.444
F: 0.133 0.578 0.283
F: 0.295 0.850 0.717
F: 0.362 0.250 0.768
F: 0.406 0.638 0.888
F: 0.750 0.519 0.112
F: 0.481 0.594 0.232

entry one is preferred energetically. Next in line: 4.4 kJ/mol of atoms higher.

Entry one
Here is a relaxed As8S9 crystal from the Materials Project database. Energies are from PBE-GGA.

space-group type: No. 1

Cell: 8.604 9.907 22.225 Å, 95.26 95.23 99.80°
Sites, in units of the cell vectors:
As: 0.124 0.378 0.038
As: 0.989 0.506 0.353
As: 0.390 0.206 0.686
As: 0.926 0.263 0.848
As: 0.088 0.869 0.169
As: 0.394 0.168 0.343
As: 0.640 0.990 0.629
As: 0.402 0.650 0.988
As: 0.332 0.727 0.565
As: 0.689 0.839 0.772
As: 0.354 0.157 0.033
As: 0.914 0.753 0.243
As: 0.598 0.750 0.387
As: 0.274 0.236 0.252
As: 0.661 0.524 0.419
As: 0.952 0.127 0.917
As: 0.232 0.799 0.715
As: 0.552 0.380 0.055
As: 0.191 0.923 0.871
As: 0.578 0.030 0.005
As: 0.102 0.814 0.609
As: 0.381 0.403 0.379
As: 0.476 0.978 0.717
As: 0.019 0.356 0.259
S: 0.103 0.707 0.863
S: 0.155 0.512 0.951
S: 0.104 0.586 0.575
S: 0.160 0.144 0.619
S: 0.082 0.100 0.186
S: 0.186 0.798 0.255
S: 0.526 0.752 0.848
S: 0.492 0.940 0.884
S: 0.544 0.488 0.966
S: 0.332 0.359 0.477
S: 0.304 0.806 0.470
S: 0.500 0.495 0.528
S: 0.527 0.176 0.604
S: 0.342 0.497 0.094
S: 0.441 0.091 0.128
S: 0.745 0.222 0.007
S: 0.540 0.886 0.469
S: 0.495 0.253 0.192
S: 0.843 0.933 0.301
S: 0.845 0.106 0.702
S: 0.988 0.239 0.655
S: 0.153 0.976 0.771
S: 0.733 0.520 0.319
S: 0.852 0.872 0.388
S: 0.951 0.269 0.343
S: 0.001 0.560 0.012
S: 0.631 0.692 0.695

Entry two
Here is a relaxed As8S9 crystal from the Materials Project database. Energies are from PBE-GGA.

space-group type: No. 13

Cell: 10.242 9.641 10.643 Å, 78.77 90.00 90.00°
Sites, in units of the cell vectors:
As: 0.037 0.682 0.618
As: 0.037 0.818 0.382
As: 0.963 0.318 0.382
As: 0.963 0.182 0.618
As: 0.316 0.928 0.561
As: 0.316 0.572 0.439
As: 0.684 0.072 0.439
As: 0.684 0.428 0.561
As: 0.412 0.347 0.842
As: 0.412 0.153 0.158
As: 0.588 0.653 0.158
As: 0.588 0.847 0.842
As: 0.229 0.435 0.983
As: 0.229 0.065 0.017
As: 0.771 0.565 0.017
As: 0.771 0.935 0.983
S: 0.170 0.497 0.599
S: 0.170 0.003 0.401
S: 0.830 0.503 0.401
S: 0.830 0.997 0.599
S: 0.433 0.750 0.500
S: 0.567 0.250 0.500
S: 0.169 0.823 0.709
S: 0.169 0.677 0.291
S: 0.831 0.177 0.291
S: 0.831 0.323 0.709
S: 0.321 0.139 0.823
S: 0.321 0.361 0.177
S: 0.679 0.861 0.177
S: 0.679 0.639 0.823
S: 0.551 0.250 0.000
S: 0.449 0.750 0.000
S: 0.909 0.750 0.000
S: 0.091 0.250 0.000

entry two is preferred energetically. Next in line: 24.7 kJ/mol of atoms higher.

Entry one
Here is a relaxed MgSn2O4 crystal from the Materials Project database. Energies are from PBE-GGA.

space-group type: No. 8

Cell: 6.349 6.349 23.587 Å, 81.99 81.99 60.25°
Sites, in units of the cell vectors:
Mg: 0.646 0.646 0.044
Mg: 0.126 0.126 0.125
Mg: 0.891 0.891 0.294
Mg: 0.372 0.372 0.379
Mg: 0.625 0.625 0.626
Mg: 0.498 0.498 0.502
Mg: 0.882 0.882 0.870
Mg: 0.752 0.752 0.749
Sn: 0.625 0.125 0.125
Sn: 0.248 0.248 0.257
Sn: 0.125 0.625 0.125
Sn: 0.150 0.150 0.531
Sn: 0.865 0.373 0.377
Sn: 0.603 0.603 0.216
Sn: 0.404 0.404 0.782
Sn: 0.373 0.865 0.377
Sn: 0.125 0.625 0.626
Sn: 0.846 0.846 0.472
Sn: 0.625 0.125 0.626
Sn: 0.878 0.387 0.873
Sn: 0.387 0.878 0.873
Sn: 0.100 0.100 0.720
Sn: 0.003 0.003 0.003
Sn: 0.360 0.360 0.962
O: 0.286 0.813 0.071
O: 0.935 0.935 0.174
O: 0.813 0.286 0.071
O: 0.818 0.818 0.070
O: 0.438 0.438 0.173
O: 0.540 0.050 0.323
O: 0.444 0.950 0.170
O: 0.190 0.190 0.415
O: 0.050 0.540 0.323
O: 0.308 0.308 0.084
O: 0.054 0.054 0.325
O: 0.950 0.444 0.170
O: 0.773 0.318 0.569
O: 0.671 0.671 0.431
O: 0.676 0.226 0.435
O: 0.444 0.444 0.668
O: 0.318 0.773 0.569
O: 0.549 0.549 0.335
O: 0.324 0.324 0.572
O: 0.226 0.676 0.435
O: 0.925 0.925 0.678
O: 0.018 0.584 0.817
O: 0.932 0.478 0.682
O: 0.685 0.685 0.927
O: 0.584 0.018 0.817
O: 0.806 0.806 0.583
O: 0.587 0.587 0.817
O: 0.478 0.932 0.682
O: 0.199 0.199 0.918
O: 0.198 0.705 0.915
O: 0.069 0.069 0.830
O: 0.705 0.198 0.915

Entry two
Here is a relaxed MgSn2O4 crystal from the Materials Project database. Energies are from PBE-GGA.

space-group type: No. 8

Cell: 6.398 6.398 17.080 Å, 88.88 88.88 59.78°
Sites, in units of the cell vectors:
Mg: 0.842 0.842 0.949
Mg: 0.167 0.167 0.665
Mg: 0.335 0.335 0.828
Mg: 0.832 0.832 0.335
Mg: 0.000 0.000 0.499
Mg: 0.662 0.662 0.173
Sn: 0.842 0.335 0.831
Sn: 0.504 0.504 0.625
Sn: 0.498 0.498 0.992
Sn: 0.335 0.842 0.831
Sn: 0.500 0.000 0.499
Sn: 0.167 0.167 0.290
Sn: 0.000 0.500 0.499
Sn: 0.157 0.665 0.169
Sn: 0.833 0.833 0.705
Sn: 0.665 0.157 0.169
Sn: 0.496 0.496 0.373
Sn: 0.157 0.157 0.049
O: 0.674 0.184 0.904
O: 0.506 0.506 0.779
O: 0.184 0.674 0.904
O: 0.669 0.669 0.901
O: 0.324 0.870 0.574
O: 0.023 0.023 0.759
O: 0.169 0.169 0.441
O: 0.462 0.013 0.753
O: 0.870 0.324 0.574
O: 0.171 0.171 0.888
O: 0.315 0.315 0.571
O: 0.013 0.462 0.753
O: 0.978 0.543 0.244
O: 0.686 0.686 0.428
O: 0.129 0.676 0.424
O: 0.543 0.978 0.244
O: 0.841 0.841 0.094
O: 0.831 0.831 0.558
O: 0.972 0.972 0.243
O: 0.676 0.129 0.424
O: 0.333 0.333 0.107
O: 0.825 0.331 0.112
O: 0.487 0.487 0.228
O: 0.331 0.825 0.112

entry two is preferred energetically. Next in line: 0.8 kJ/mol of atoms higher.